No. 1
Compound: LiVSi2O6
Source: the Materials Project database
Functional: PBE+U
Structure: relaxed

abc: 5.358 18.289 8.788
angles: 90.00 90.00 90.00
Fractional positions:
Li: 0.120 0.126 0.004
Li: 0.120 0.374 0.504
Li: 0.380 0.626 0.004
Li: 0.380 0.874 0.504
Li: 0.620 0.126 0.496
Li: 0.620 0.374 0.996
Li: 0.880 0.626 0.496
Li: 0.880 0.874 0.996
V: 0.119 0.125 0.653
V: 0.119 0.375 0.153
V: 0.381 0.625 0.653
V: 0.381 0.875 0.153
V: 0.619 0.125 0.847
V: 0.619 0.375 0.347
V: 0.881 0.625 0.847
V: 0.881 0.875 0.347
Si: 0.046 0.726 0.161
Si: 0.046 0.774 0.661
Si: 0.227 0.025 0.338
Si: 0.227 0.475 0.838
Si: 0.273 0.525 0.338
Si: 0.273 0.975 0.838
Si: 0.454 0.226 0.161
Si: 0.454 0.274 0.661
Si: 0.546 0.726 0.339
Si: 0.546 0.774 0.839
Si: 0.727 0.025 0.162
Si: 0.727 0.475 0.662
Si: 0.773 0.525 0.162
Si: 0.773 0.975 0.662
Si: 0.954 0.226 0.339
Si: 0.954 0.274 0.839
O: 0.046 0.684 0.667
O: 0.046 0.690 0.993
O: 0.046 0.810 0.493
O: 0.046 0.816 0.167
O: 0.051 0.552 0.220
O: 0.051 0.948 0.720
O: 0.188 0.196 0.235
O: 0.188 0.304 0.735
O: 0.212 0.564 0.500
O: 0.212 0.936 0.000
O: 0.220 0.566 0.834
O: 0.220 0.934 0.334
O: 0.280 0.066 0.834
O: 0.280 0.434 0.334
O: 0.288 0.064 0.500
O: 0.288 0.436 0.000
O: 0.312 0.696 0.235
O: 0.312 0.804 0.735
O: 0.449 0.052 0.220
O: 0.449 0.448 0.720
O: 0.454 0.184 0.667
O: 0.454 0.190 0.993
O: 0.454 0.310 0.493
O: 0.454 0.316 0.167
O: 0.546 0.684 0.833
O: 0.546 0.690 0.507
O: 0.546 0.810 0.007
O: 0.546 0.816 0.333
O: 0.551 0.552 0.280
O: 0.551 0.948 0.780
O: 0.688 0.196 0.265
O: 0.688 0.304 0.765
O: 0.712 0.564 0.000
O: 0.712 0.936 0.500
O: 0.720 0.566 0.666
O: 0.720 0.934 0.166
O: 0.780 0.066 0.666
O: 0.780 0.434 0.166
O: 0.788 0.064 0.000
O: 0.788 0.436 0.500
O: 0.812 0.696 0.265
O: 0.812 0.804 0.765
O: 0.949 0.052 0.280
O: 0.949 0.448 0.780
O: 0.954 0.184 0.833
O: 0.954 0.190 0.507
O: 0.954 0.310 0.007
O: 0.954 0.316 0.333

Values from the calculation:
The calculation puts the density at 3.24 g cm⁻³. The value obtained for the formation energy is -2.974 eV per atom. Its total energy is -603.6 eV/cell. Its MP2020-corrected energy is -650.205 eV/cell. The calculation puts the spin magnetization at 16.000 Bohr magnetons per cell.

No. 2
Compound: Li2VSiO5
Source: the Materials Project database
Functional: PBE+U
Structure: relaxed

abc: 4.540 9.087 9.086
angles: 90.00 90.00 90.00
Fractional positions:
Li: 0.500 0.250 0.750
Li: 0.500 0.750 0.750
Li: 0.500 0.250 0.250
Li: 0.500 0.000 0.500
Li: 0.500 0.500 0.500
Li: 0.500 0.750 0.250
Li: 0.500 0.500 0.000
Li: 0.500 0.000 0.000
O: 0.217 0.897 0.353
O: 0.783 0.603 0.147
O: 0.783 0.103 0.353
O: 0.713 0.750 0.500
O: 0.783 0.897 0.853
O: 0.217 0.603 0.353
O: 0.217 0.103 0.147
O: 0.287 0.750 0.000
O: 0.783 0.897 0.147
O: 0.783 0.397 0.353
O: 0.783 0.603 0.853
O: 0.217 0.603 0.647
O: 0.783 0.103 0.647
O: 0.287 0.250 0.500
O: 0.217 0.397 0.147
O: 0.783 0.397 0.647
O: 0.217 0.897 0.647
O: 0.217 0.103 0.853
O: 0.713 0.250 0.000
O: 0.217 0.397 0.853
Si: 0.000 0.500 0.750
Si: 0.000 0.000 0.250
Si: 0.000 0.500 0.250
Si: 0.000 0.000 0.750
V: 0.083 0.250 0.000
V: 0.084 0.750 0.500
V: 0.917 0.250 0.500
V: 0.917 0.750 0.000

Values from the calculation:
The calculation puts the density at 3.06 g cm⁻³. The value obtained for the formation energy is -2.766 eV per atom. Its total energy is -251.3 eV/cell. Its MP2020-corrected energy is -271.842 eV/cell. The calculation puts the spin magnetization at 0.000 Bohr magnetons per cell.

No. 3
Compound: Li3VSi2O7
Source: the Materials Project database
Functional: PBE+U
Structure: relaxed

abc: 8.590 8.598 13.152
angles: 90.01 90.27 119.84
Fractional positions:
Li: 0.000 0.000 0.000
Li: 0.001 0.995 0.669
Li: 0.024 0.691 0.038
Li: 0.026 0.692 0.538
Li: 0.046 0.385 0.170
Li: 0.049 0.383 0.503
Li: 0.330 0.018 0.168
Li: 0.335 0.027 0.503
Li: 0.353 0.713 0.667
Li: 0.356 0.357 0.831
Li: 0.360 0.716 0.003
Li: 0.361 0.358 0.331
Li: 0.689 0.665 0.502
Li: 0.691 0.023 0.331
Li: 0.693 0.667 0.166
Li: 0.696 0.022 0.834
Li: 0.715 0.357 0.003
Li: 0.716 0.359 0.668
V: 0.020 0.691 0.330
V: 0.027 0.690 0.830
V: 0.356 0.357 0.558
V: 0.357 0.357 0.112
V: 0.691 0.023 0.613
V: 0.691 0.024 0.059
Si: 0.000 0.019 0.224
Si: 0.047 0.363 0.724
Si: 0.049 0.365 0.948
Si: 0.350 0.043 0.948
Si: 0.352 0.042 0.724
Si: 0.375 0.715 0.224
Si: 0.375 0.717 0.447
Si: 0.671 0.664 0.724
Si: 0.672 0.663 0.947
Si: 0.696 0.338 0.224
Si: 0.697 0.338 0.448
Si: 0.998 0.016 0.448
O: 0.097 0.895 0.444
O: 0.100 0.899 0.230
O: 0.140 0.228 0.465
O: 0.141 0.231 0.209
O: 0.153 0.387 0.836
O: 0.156 0.620 0.442
O: 0.158 0.617 0.231
O: 0.208 0.447 0.639
O: 0.212 0.449 0.033
O: 0.228 0.824 0.944
O: 0.232 0.825 0.730
O: 0.266 0.121 0.032
O: 0.268 0.121 0.639
O: 0.330 0.125 0.836
O: 0.443 0.572 0.462
O: 0.445 0.572 0.208
O: 0.453 0.879 0.532
O: 0.454 0.876 0.139
O: 0.460 0.820 0.335
O: 0.483 0.267 0.207
O: 0.485 0.270 0.461
O: 0.563 0.112 0.965
O: 0.565 0.113 0.708
O: 0.588 0.559 0.835
O: 0.589 0.501 0.639
O: 0.597 0.504 0.033
O: 0.600 0.807 0.708
O: 0.604 0.808 0.962
O: 0.719 0.256 0.335
O: 0.781 0.261 0.139
O: 0.782 0.259 0.532
O: 0.813 0.556 0.231
O: 0.820 0.557 0.444
O: 0.836 0.930 0.532
O: 0.837 0.934 0.139
O: 0.889 0.762 0.730
O: 0.892 0.761 0.942
O: 0.895 0.995 0.335
O: 0.906 0.152 0.962
O: 0.907 0.148 0.709
O: 0.945 0.479 0.731
O: 0.951 0.487 0.944

Values from the calculation:
The calculation puts the density at 2.84 g cm⁻³. The value obtained for the formation energy is -2.837 eV per atom. Its total energy is -544.0 eV/cell. Its MP2020-corrected energy is -583.054 eV/cell. The calculation puts the spin magnetization at 12.000 Bohr magnetons per cell.

No. 4
Compound: Li2VSiO4
Source: the Materials Project database
Functional: PBE+U
Structure: relaxed

abc: 10.599 6.718 4.909
angles: 90.00 90.00 90.00
Fractional positions:
Li: 0.090 0.001 0.183
Li: 0.090 0.499 0.183
Li: 0.410 0.501 0.683
Li: 0.410 0.999 0.683
Li: 0.590 0.001 0.317
Li: 0.590 0.499 0.317
Li: 0.910 0.501 0.817
Li: 0.910 0.999 0.817
V: 0.153 0.750 0.694
V: 0.347 0.250 0.194
V: 0.653 0.750 0.806
V: 0.847 0.250 0.306
Si: 0.164 0.250 0.669
Si: 0.336 0.750 0.169
Si: 0.664 0.250 0.831
Si: 0.836 0.750 0.331
O: 0.095 0.046 0.778
O: 0.095 0.454 0.778
O: 0.158 0.250 0.332
O: 0.184 0.750 0.255
O: 0.316 0.250 0.755
O: 0.342 0.750 0.832
O: 0.405 0.546 0.278
O: 0.405 0.954 0.278
O: 0.595 0.046 0.722
O: 0.595 0.454 0.722
O: 0.658 0.250 0.168
O: 0.684 0.750 0.245
O: 0.816 0.250 0.745
O: 0.842 0.750 0.668
O: 0.905 0.546 0.222
O: 0.905 0.954 0.222

Values from the calculation:
The calculation puts the density at 2.98 g cm⁻³. The value obtained for the formation energy is -2.617 eV per atom. Its total energy is -218.4 eV/cell. Its MP2020-corrected energy is -236.216 eV/cell. The calculation puts the spin magnetization at 11.999 Bohr magnetons per cell.

No. 5
Compound: Li2VSiO4
Source: the Materials Project database
Functional: PBE+U
Structure: relaxed

abc: 5.263 8.299 8.299
angles: 109.18 90.00 90.00
Fractional positions:
O: 0.688 0.298 0.594
O: 0.312 0.595 0.798
O: 0.688 0.798 0.095
O: 0.135 0.712 0.212
O: 0.190 0.424 0.424
O: 0.810 0.924 0.424
O: 0.810 0.424 0.924
O: 0.688 0.594 0.298
O: 0.865 0.712 0.712
O: 0.312 0.798 0.595
O: 0.312 0.298 0.095
O: 0.865 0.212 0.212
O: 0.135 0.212 0.712
O: 0.688 0.095 0.798
O: 0.190 0.924 0.924
O: 0.312 0.094 0.298
Li: 0.676 0.618 0.868
Li: 0.676 0.368 0.118
Li: 0.676 0.868 0.618
Li: 0.324 0.618 0.368
Li: 0.676 0.118 0.368
Li: 0.324 0.868 0.118
Li: 0.324 0.368 0.618
Li: 0.324 0.118 0.868
Si: 0.826 0.752 0.252
Si: 0.174 0.252 0.252
Si: 0.174 0.752 0.752
Si: 0.826 0.252 0.752
V: 0.196 0.983 0.483
V: 0.196 0.483 0.983
V: 0.804 0.983 0.983
V: 0.804 0.483 0.483

Values from the calculation:
The calculation puts the density at 3.04 g cm⁻³. The value obtained for the formation energy is -2.617 eV per atom. Its total energy is -218.4 eV/cell. Its MP2020-corrected energy is -236.225 eV/cell. The calculation puts the spin magnetization at 0.000 Bohr magnetons per cell.

No. 6
Compound: Li2V4Si4O13
Source: the Materials Project database
Functional: PBE+U
Structure: relaxed

abc: 6.939 8.011 10.375
angles: 67.56 80.60 77.54
Fractional positions:
Li: 0.225 0.487 0.117
Li: 0.269 0.956 0.577
Li: 0.731 0.044 0.423
Li: 0.775 0.513 0.883
V: 0.082 0.555 0.619
V: 0.085 0.190 0.991
V: 0.421 0.447 0.379
V: 0.426 0.805 0.012
V: 0.574 0.195 0.988
V: 0.579 0.553 0.621
V: 0.915 0.810 0.009
V: 0.918 0.445 0.381
Si: 0.069 0.835 0.287
Si: 0.271 0.586 0.827
Si: 0.273 0.134 0.285
Si: 0.375 0.159 0.714
Si: 0.625 0.841 0.286
Si: 0.727 0.866 0.715
Si: 0.729 0.414 0.173
Si: 0.931 0.165 0.713
O: 0.094 0.464 0.844
O: 0.124 0.982 0.345
O: 0.130 0.882 0.120
O: 0.132 0.622 0.389
O: 0.170 0.115 0.687
O: 0.213 0.279 0.365
O: 0.213 0.701 0.932
O: 0.282 0.707 0.655
O: 0.289 0.231 0.115
O: 0.384 0.104 0.882
O: 0.392 0.369 0.611
O: 0.481 0.997 0.346
O: 0.499 0.530 0.155
O: 0.501 0.470 0.845
O: 0.519 0.003 0.654
O: 0.608 0.631 0.389
O: 0.616 0.896 0.118
O: 0.711 0.769 0.885
O: 0.718 0.293 0.345
O: 0.787 0.299 0.068
O: 0.787 0.721 0.635
O: 0.830 0.885 0.313
O: 0.868 0.378 0.611
O: 0.870 0.118 0.880
O: 0.876 0.018 0.655
O: 0.906 0.536 0.156

Values from the calculation:
The calculation puts the density at 3.45 g cm⁻³. The value obtained for the formation energy is -2.767 eV per atom. Its total energy is -348.2 eV/cell. Its MP2020-corrected energy is -379.629 eV/cell. The calculation puts the spin magnetization at 24.000 Bohr magnetons per cell.

No. 7
Compound: LiVSiO5
Source: the Materials Project database
Functional: PBE+U
Structure: relaxed

abc: 8.995 4.497 9.322
angles: 90.00 90.00 90.00
Fractional positions:
Li: 0.000 0.007 0.000
Li: 0.000 0.993 0.500
Li: 0.500 0.366 0.743
Li: 0.500 0.634 0.243
V: 0.000 0.418 0.256
V: 0.000 0.582 0.756
V: 0.500 0.038 0.463
V: 0.500 0.962 0.963
Si: 0.250 0.499 0.505
Si: 0.250 0.501 0.005
Si: 0.750 0.499 0.505
Si: 0.750 0.501 0.005
O: 0.000 0.219 0.759
O: 0.000 0.781 0.259
O: 0.142 0.309 0.397
O: 0.142 0.691 0.897
O: 0.143 0.314 0.115
O: 0.143 0.686 0.615
O: 0.356 0.253 0.924
O: 0.356 0.747 0.424
O: 0.361 0.253 0.581
O: 0.361 0.747 0.081
O: 0.500 0.210 0.308
O: 0.500 0.790 0.808
O: 0.639 0.253 0.581
O: 0.639 0.747 0.081
O: 0.644 0.253 0.924
O: 0.644 0.747 0.424
O: 0.857 0.314 0.115
O: 0.857 0.686 0.615
O: 0.858 0.309 0.397
O: 0.858 0.691 0.897

Values from the calculation:
The calculation puts the density at 2.92 g cm⁻³. The value obtained for the formation energy is -2.653 eV per atom. Its total energy is -229.0 eV/cell. Its MP2020-corrected energy is -249.542 eV/cell. The calculation puts the spin magnetization at 0.000 Bohr magnetons per cell.

No. 8
Compound: Li10VSi2O10
Source: the Materials Project database
Functional: PBE+U
Structure: relaxed

abc: 15.314 15.314 5.146
angles: 98.84 98.84 23.11
Fractional positions:
Li: 0.010 0.010 0.260
Li: 0.062 0.547 0.399
Li: 0.149 0.587 0.766
Li: 0.151 0.717 0.112
Li: 0.176 0.176 0.932
Li: 0.231 0.231 0.325
Li: 0.283 0.849 0.888
Li: 0.368 0.368 0.221
Li: 0.413 0.851 0.234
Li: 0.453 0.938 0.601
Li: 0.547 0.062 0.399
Li: 0.587 0.149 0.766
Li: 0.632 0.632 0.779
Li: 0.717 0.151 0.112
Li: 0.769 0.769 0.675
Li: 0.824 0.824 0.068
Li: 0.849 0.283 0.888
Li: 0.851 0.413 0.234
Li: 0.938 0.453 0.601
Li: 0.990 0.990 0.740
V: 0.464 0.464 0.783
V: 0.536 0.536 0.217
Si: 0.101 0.101 0.507
Si: 0.280 0.280 0.871
Si: 0.720 0.720 0.129
Si: 0.899 0.899 0.493
O: 0.051 0.051 0.601
O: 0.081 0.530 0.783
O: 0.089 0.652 0.378
O: 0.096 0.096 0.181
O: 0.229 0.229 0.721
O: 0.260 0.740 0.000
O: 0.285 0.285 0.194
O: 0.348 0.911 0.622
O: 0.408 0.408 0.938
O: 0.470 0.919 0.217
O: 0.530 0.081 0.783
O: 0.592 0.592 0.062
O: 0.652 0.089 0.378
O: 0.715 0.715 0.806
O: 0.740 0.260 0.000
O: 0.771 0.771 0.279
O: 0.904 0.904 0.819
O: 0.911 0.348 0.622
O: 0.919 0.470 0.217
O: 0.949 0.949 0.399

Values from the calculation:
The calculation puts the density at 2.39 g cm⁻³. The value obtained for the formation energy is -2.472 eV per atom. Its total energy is -273.6 eV/cell. Its MP2020-corrected energy is -290.718 eV/cell. The calculation puts the spin magnetization at 5.998 Bohr magnetons per cell.